! KRb2RhF6 | Materials Project | PBE | optimized geometry; values from VASP
! Magnetic moment   0.000 Bohr magnetons per cell
! E_form   -2.63 eV per atom
! Raw total energy   -4.54 eV/atom
&SYSTEM
  ibrav = 0, nat = 10, ntyp = 4
/
ATOMIC_SPECIES
K 39.10 K.upf
Rb 85.47 Rb.upf
Rh 102.91 Rh.upf
F 19.00 F.upf
ATOMIC_POSITIONS crystal
K 0.500 0.500 0.500
Rb 0.250 0.250 0.250
Rb 0.750 0.750 0.750
Rh 0.000 0.000 0.000
F 0.778 0.778 0.222
F 0.222 0.778 0.778
F 0.222 0.222 0.778
F 0.778 0.222 0.778
F 0.222 0.778 0.222
F 0.778 0.222 0.222
CELL_PARAMETERS angstrom
-4.543 -4.543 0.000
-4.543 0.000 -4.543
0.000 -4.543 -4.543

***

! K2RbRhF6 | Materials Project | PBE | optimized geometry; values from VASP
! Magnetic moment   0.000 Bohr magnetons per cell
! E_form   -2.56 eV per atom
! Raw total energy   -4.49 eV/atom
&SYSTEM
  ibrav = 0, nat = 10, ntyp = 4
/
ATOMIC_SPECIES
K 39.10 K.upf
Rb 85.47 Rb.upf
Rh 102.91 Rh.upf
F 19.00 F.upf
ATOMIC_POSITIONS crystal
K 0.750 0.750 0.750
K 0.250 0.250 0.250
Rb 0.500 0.500 0.500
Rh 0.000 0.000 0.000
F 0.782 0.218 0.218
F 0.218 0.218 0.782
F 0.218 0.782 0.782
F 0.218 0.782 0.218
F 0.782 0.218 0.782
F 0.782 0.782 0.218
CELL_PARAMETERS angstrom
-0.233 -6.529 0.139
1.613 -3.211 5.457
-4.616 -3.031 3.493

***

! K2RbSbF6 | Materials Project | PBE | optimized geometry; values from VASP
! Magnetic moment   0.002 Bohr magnetons per cell
! E_form   -2.80 eV per atom
! Raw total energy   -4.40 eV/atom
&SYSTEM
  ibrav = 0, nat = 10, ntyp = 4
/
ATOMIC_SPECIES
K 39.10 K.upf
Rb 85.47 Rb.upf
Sb 121.76 Sb.upf
F 19.00 F.upf
ATOMIC_POSITIONS crystal
K 0.750 0.750 0.750
K 0.250 0.250 0.250
Rb 0.500 0.500 0.500
Sb 0.000 0.000 0.000
F 0.773 0.227 0.227
F 0.227 0.227 0.773
F 0.227 0.773 0.773
F 0.227 0.773 0.227
F 0.773 0.227 0.773
F 0.773 0.773 0.227
CELL_PARAMETERS angstrom
0.000 4.848 4.848
4.848 0.000 4.848
4.848 4.848 0.000

***

! K2RbScF6 | Materials Project | PBE | optimized geometry; values from VASP
! Magnetic moment   0.000 Bohr magnetons per cell
! E_form   -3.49 eV per atom
! Raw total energy   -5.32 eV/atom
&SYSTEM
  ibrav = 0, nat = 10, ntyp = 4
/
ATOMIC_SPECIES
K 39.10 K.upf
Rb 85.47 Rb.upf
Sc 44.96 Sc.upf
F 19.00 F.upf
ATOMIC_POSITIONS crystal
K 0.750 0.750 0.750
K 0.250 0.250 0.250
Rb 0.500 0.500 0.500
Sc 0.000 0.000 0.000
F 0.783 0.217 0.217
F 0.217 0.217 0.783
F 0.217 0.783 0.783
F 0.217 0.783 0.217
F 0.783 0.217 0.783
F 0.783 0.783 0.217
CELL_PARAMETERS angstrom
0.492 1.248 6.465
3.487 5.198 2.103
-3.097 5.220 2.600

***

! KRb2SiF7 | Materials Project | PBE | optimized geometry; values from VASP
! Magnetic moment   0.001 Bohr magnetons per cell
! E_form   -3.33 eV per atom
! Raw total energy   -5.03 eV/atom
&SYSTEM
  ibrav = 0, nat = 22, ntyp = 4
/
ATOMIC_SPECIES
K 39.10 K.upf
Rb 85.47 Rb.upf
Si 28.09 Si.upf
F 19.00 F.upf
ATOMIC_POSITIONS crystal
K 0.195 0.195 0.500
K 0.805 0.805 0.500
Rb 0.000 0.500 0.000
Rb 0.500 0.000 0.000
Rb 0.694 0.306 0.500
Rb 0.306 0.694 0.500
Si 0.000 0.000 0.000
Si 0.500 0.500 0.000
F 0.894 0.106 0.788
F 0.106 0.894 0.788
F 0.392 0.392 0.789
F 0.608 0.608 0.789
F 0.106 0.894 0.212
F 0.894 0.106 0.212
F 0.608 0.608 0.211
F 0.392 0.392 0.211
F 0.652 0.348 0.000
F 0.348 0.652 0.000
F 0.153 0.153 0.000
F 0.847 0.847 0.000
F 0.000 0.500 0.500
F 0.500 0.000 0.500
CELL_PARAMETERS angstrom
4.674 3.713 -5.296
-6.424 1.559 -4.469
-0.761 5.014 2.844

***

! KRb2TiF6 | Materials Project | PBE | optimized geometry; values from VASP
! Magnetic moment   1.000 Bohr magnetons per cell
! E_form   -3.30 eV per atom
! Raw total energy   -5.27 eV/atom
&SYSTEM
  ibrav = 0, nat = 10, ntyp = 4
/
ATOMIC_SPECIES
K 39.10 K.upf
Rb 85.47 Rb.upf
Ti 47.87 Ti.upf
F 19.00 F.upf
ATOMIC_POSITIONS crystal
K 0.500 0.500 0.500
Rb 0.750 0.750 0.750
Rb 0.250 0.250 0.250
Ti 0.000 0.000 0.000
F 0.219 0.781 0.781
F 0.219 0.219 0.781
F 0.781 0.219 0.219
F 0.781 0.219 0.781
F 0.219 0.781 0.219
F 0.781 0.781 0.219
CELL_PARAMETERS angstrom
-0.803 5.623 3.034
4.578 2.207 3.955
3.534 5.108 -1.698

***

! K2RbTiF6 | Materials Project | PBE | optimized geometry; values from VASP
! E_form   -3.23 eV per atom
! Raw total energy   -5.21 eV/atom
&SYSTEM
  ibrav = 0, nat = 10, ntyp = 4
/
ATOMIC_SPECIES
K 39.10 K.upf
Rb 85.47 Rb.upf
Ti 47.87 Ti.upf
F 19.00 F.upf
ATOMIC_POSITIONS crystal
K 0.250 0.250 0.250
K 0.750 0.750 0.750
Rb 0.500 0.500 0.500
Ti 0.000 0.000 0.000
F 0.215 0.215 0.785
F 0.215 0.785 0.785
F 0.785 0.785 0.215
F 0.215 0.785 0.215
F 0.785 0.215 0.785
F 0.785 0.215 0.215
CELL_PARAMETERS angstrom
0.000 4.623 4.623
4.623 0.000 4.623
4.623 4.623 0.000

***

! KRb2TlF6 | Materials Project | PBE | optimized geometry; values from VASP
! E_form   -2.70 eV per atom
! Raw total energy   -4.11 eV/atom
&SYSTEM
  ibrav = 0, nat = 10, ntyp = 4
/
ATOMIC_SPECIES
K 39.10 K.upf
Rb 85.47 Rb.upf
Tl 204.38 Tl.upf
F 19.00 F.upf
ATOMIC_POSITIONS crystal
K 0.500 0.500 0.500
Rb 0.750 0.750 0.750
Rb 0.250 0.250 0.250
Tl 0.000 0.000 0.000
F 0.768 0.232 0.232
F 0.232 0.232 0.768
F 0.232 0.768 0.768
F 0.232 0.768 0.232
F 0.768 0.232 0.768
F 0.768 0.768 0.232
CELL_PARAMETERS angstrom
-2.120 -3.934 4.984
-6.545 -1.158 0.798
-2.518 -6.053 -1.353

***

! K2RbYF6 | Materials Project | PBE | optimized geometry; values from VASP
! Magnetic moment   0.001 Bohr magnetons per cell
! E_form   -3.48 eV per atom
! Raw total energy   -5.32 eV/atom
&SYSTEM
  ibrav = 0, nat = 10, ntyp = 4
/
ATOMIC_SPECIES
K 39.10 K.upf
Rb 85.47 Rb.upf
Y 88.91 Y.upf
F 19.00 F.upf
ATOMIC_POSITIONS crystal
K 0.750 0.750 0.750
K 0.250 0.250 0.250
Rb 0.500 0.500 0.500
Y 0.000 0.000 0.000
F 0.774 0.226 0.226
F 0.226 0.226 0.774
F 0.226 0.774 0.774
F 0.226 0.774 0.226
F 0.774 0.226 0.774
F 0.774 0.774 0.226
CELL_PARAMETERS angstrom
6.336 -0.871 2.436
1.150 -4.523 5.005
3.413 -5.781 -1.330

***

! K3RhF6 | Materials Project | PBE | optimized geometry; values from VASP
! Magnetic moment   0.000 Bohr magnetons per cell
! E_form   -2.58 eV per atom
! Raw total energy   -4.52 eV/atom
&SYSTEM
  ibrav = 0, nat = 10, ntyp = 3
/
ATOMIC_SPECIES
K 39.10 K.upf
Rh 102.91 Rh.upf
F 19.00 F.upf
ATOMIC_POSITIONS crystal
K 0.500 0.000 0.000
K 0.000 0.500 0.500
K 0.000 0.000 0.500
Rh 0.000 0.000 0.000
F 0.777 0.054 0.277
F 0.223 0.946 0.723
F 0.779 0.779 0.715
F 0.221 0.221 0.285
F 0.062 0.771 0.998
F 0.938 0.229 0.002
CELL_PARAMETERS angstrom
0.739 1.299 -6.561
-3.992 -6.918 1.218
-2.549 6.111 -0.559

***

! K3RhF6 | Materials Project | PBE | optimized geometry; values from VASP
! E_form   -2.60 eV per atom
! Raw total energy   -4.54 eV/atom
&SYSTEM
  ibrav = 0, nat = 10, ntyp = 3
/
ATOMIC_SPECIES
K 39.10 K.upf
Rh 102.91 Rh.upf
F 19.00 F.upf
ATOMIC_POSITIONS crystal
K 0.250 0.250 0.250
K 0.750 0.750 0.750
K 0.500 0.500 0.500
Rh 0.000 0.000 0.000
F 0.223 0.223 0.777
F 0.223 0.777 0.777
F 0.777 0.777 0.223
F 0.223 0.777 0.223
F 0.777 0.223 0.777
F 0.777 0.223 0.223
CELL_PARAMETERS angstrom
0.000 4.502 4.502
4.502 0.000 4.502
4.502 4.502 0.000

***

! K3RhF6 | Materials Project | PBE | optimized geometry; values from VASP
! Magnetic moment   0.000 Bohr magnetons per cell
! E_form   -2.58 eV per atom
! Raw total energy   -4.52 eV/atom
&SYSTEM
  ibrav = 0, nat = 10, ntyp = 3
/
ATOMIC_SPECIES
K 39.10 K.upf
Rh 102.91 Rh.upf
F 19.00 F.upf
ATOMIC_POSITIONS crystal
K 0.500 0.000 0.000
K 0.000 0.500 0.500
K 0.000 0.000 0.500
Rh 0.000 0.000 0.000
F 0.779 0.048 0.268
F 0.221 0.952 0.732
F 0.785 0.786 0.717
F 0.215 0.214 0.283
F 0.068 0.769 0.993
F 0.932 0.231 0.007
CELL_PARAMETERS angstrom
0.719 1.220 -6.611
-4.031 -6.858 1.091
-2.556 6.167 -0.524

***

Look up the raw total energy of the third one.
-4.40 eV/atom